1.
## Mg4Ta2S9O36 (PBE)

Data for a relaxed Mg4Ta2S9O36 crystal.

Cell and atoms, written as POSCAR:
```
Mg4Ta2S9O36
1.0
8.690 0.000 0.000
-4.345 7.526 0.000
0.000 0.000 22.338
Mg Ta S O
8 4 18 72
direct
0.000 0.000 0.000
0.000 0.000 0.207
0.000 0.000 0.500
0.000 0.000 0.707
0.333 0.667 0.376
0.333 0.667 0.876
0.667 0.333 0.042
0.667 0.333 0.542
0.333 0.667 0.163
0.333 0.667 0.663
0.667 0.333 0.336
0.667 0.333 0.836
0.046 0.374 0.272
0.046 0.672 0.772
0.290 0.008 0.604
0.290 0.282 0.104
0.328 0.374 0.772
0.328 0.954 0.272
0.372 0.038 0.940
0.372 0.334 0.440
0.626 0.672 0.272
0.626 0.954 0.772
0.666 0.038 0.440
0.666 0.628 0.940
0.718 0.008 0.104
0.718 0.710 0.604
0.962 0.334 0.940
0.962 0.628 0.440
0.992 0.282 0.604
0.992 0.710 0.104
0.022 0.200 0.262
0.022 0.822 0.762
0.037 0.215 0.551
0.037 0.822 0.051
0.127 0.493 0.217
0.127 0.634 0.717
0.132 0.492 0.928
0.132 0.640 0.428
0.155 0.460 0.324
0.155 0.695 0.824
0.162 0.471 0.615
0.162 0.691 0.115
0.178 0.200 0.762
0.178 0.215 0.051
0.178 0.963 0.551
0.178 0.978 0.262
0.202 0.028 0.944
0.202 0.173 0.444
0.210 0.029 0.659
0.210 0.181 0.159
0.305 0.460 0.824
0.305 0.845 0.324
0.309 0.471 0.115
0.309 0.838 0.615
0.360 0.492 0.428
0.360 0.868 0.928
0.366 0.493 0.717
0.366 0.873 0.217
0.466 0.162 0.883
0.466 0.304 0.383
0.469 0.155 0.596
0.469 0.314 0.096
0.491 0.126 0.990
0.491 0.365 0.490
0.495 0.135 0.279
0.495 0.360 0.779
0.507 0.634 0.217
0.507 0.873 0.717
0.508 0.640 0.928
0.508 0.868 0.428
0.529 0.691 0.615
0.529 0.838 0.115
0.540 0.695 0.324
0.540 0.845 0.824
0.635 0.126 0.490
0.635 0.509 0.990
0.640 0.135 0.779
0.640 0.505 0.279
0.686 0.155 0.096
0.686 0.531 0.596
0.696 0.162 0.383
0.696 0.534 0.883
0.785 0.822 0.551
0.785 0.963 0.051
0.800 0.822 0.262
0.800 0.978 0.762
0.819 0.029 0.159
0.819 0.790 0.659
0.827 0.028 0.444
0.827 0.798 0.944
0.838 0.304 0.883
0.838 0.534 0.383
0.845 0.314 0.596
0.845 0.531 0.096
0.865 0.360 0.279
0.865 0.505 0.779
0.874 0.365 0.990
0.874 0.509 0.490
0.971 0.181 0.659
0.971 0.790 0.159
0.972 0.173 0.944
0.972 0.798 0.444
```

Calculated values
Formation energy in meV/atom: -2304
ρ in g/cm3: 3.0
V in Å³ per cell: 1460.9

2.
## MgTiS3O12 (PBE)

Data for a relaxed MgTiS3O12 crystal.

Cell and atoms, written as POSCAR:
```
MgTiS3O12
1.0
8.599 0.000 0.000
-4.300 7.447 0.000
0.000 0.000 22.189
Mg Ti S O
6 6 18 72
direct
0.000 0.000 0.355
0.000 0.000 0.855
0.667 0.333 0.688
0.667 0.333 0.188
0.333 0.667 0.021
0.333 0.667 0.521
0.000 0.000 0.645
0.000 0.000 0.145
0.667 0.333 0.978
0.667 0.333 0.478
0.333 0.667 0.311
0.333 0.667 0.811
0.290 0.002 0.251
0.712 0.710 0.251
0.998 0.288 0.251
0.290 0.288 0.751
0.998 0.710 0.751
0.712 0.002 0.751
0.957 0.336 0.584
0.379 0.043 0.584
0.664 0.621 0.584
0.957 0.621 0.084
0.664 0.043 0.084
0.379 0.336 0.084
0.623 0.669 0.918
0.046 0.377 0.918
0.331 0.954 0.918
0.623 0.954 0.418
0.331 0.377 0.418
0.046 0.669 0.418
0.207 0.029 0.304
0.821 0.793 0.304
0.971 0.179 0.304
0.207 0.179 0.804
0.971 0.793 0.804
0.821 0.029 0.804
0.794 0.966 0.696
0.172 0.206 0.696
0.034 0.828 0.696
0.794 0.828 0.196
0.034 0.206 0.196
0.172 0.966 0.196
0.874 0.362 0.637
0.488 0.126 0.637
0.638 0.512 0.637
0.874 0.512 0.137
0.638 0.126 0.137
0.488 0.362 0.137
0.461 0.299 0.029
0.838 0.539 0.029
0.701 0.162 0.029
0.461 0.162 0.529
0.701 0.539 0.529
0.838 0.299 0.529
0.541 0.695 0.970
0.155 0.459 0.970
0.305 0.845 0.970
0.541 0.845 0.470
0.305 0.459 0.470
0.155 0.695 0.470
0.128 0.633 0.363
0.505 0.872 0.363
0.367 0.495 0.363
0.128 0.495 0.863
0.367 0.872 0.863
0.505 0.633 0.863
0.021 0.821 0.407
0.800 0.979 0.407
0.179 0.200 0.407
0.021 0.200 0.907
0.179 0.979 0.907
0.800 0.821 0.907
0.971 0.168 0.592
0.197 0.029 0.592
0.832 0.803 0.592
0.971 0.803 0.092
0.832 0.029 0.092
0.197 0.168 0.092
0.688 0.154 0.741
0.467 0.312 0.741
0.846 0.533 0.741
0.688 0.533 0.241
0.846 0.312 0.241
0.467 0.154 0.241
0.638 0.502 0.926
0.864 0.362 0.926
0.498 0.136 0.926
0.638 0.136 0.426
0.498 0.362 0.426
0.864 0.502 0.426
0.354 0.488 0.074
0.133 0.646 0.074
0.512 0.867 0.074
0.354 0.867 0.574
0.512 0.646 0.574
0.133 0.488 0.574
0.305 0.835 0.259
0.530 0.695 0.259
0.165 0.470 0.259
0.305 0.470 0.759
0.165 0.695 0.759
0.530 0.835 0.759
```

Calculated values
Formation energy in meV/atom: -2326
ρ in g/cm3: 2.5
V in Å³ per cell: 1421.0